This record from the Materials Project describes Nb3Bi after structural relaxation. The functional is meta-GGA r2SCAN.

VASP energy   -132.827 eV/f.u.
ρ   10.43 g cm⁻³

Cell: 5.376 5.376 5.376 Å, 90.00 90.00 90.00°
Fractional coordinates of all 8 atoms:
Nb: 0.500 0.250 0.000
Nb: 0.000 0.500 0.750
Nb: 0.750 0.000 0.500
Nb: 0.500 0.750 0.000
Nb: 0.000 0.500 0.250
Nb: 0.250 0.000 0.500
Bi: 0.000 0.000 0.000
Bi: 0.500 0.500 0.500